An optimized crystal structure of P4WO12, computed with meta-GGA r2SCAN.

Properties
Relative energy among the computed polymorphs ... 0 meV/atom
Calculated density ... 3.78 g/cm³
Space group ... C2/c
Uncorrected energy ... -11.524 eV/atom
Total magnetic moment ... 2.0 μB per formula unit

a = 7.361 Å, b = 7.361 Å, c = 10.151 Å
α = 115.33°, β = 115.33°, γ = 69.15°
Element x y z (fractional)
P: 0.189 0.220 0.685
P: 0.220 0.189 0.185
P: 0.234 0.763 0.972
P: 0.237 0.766 0.528
P: 0.763 0.234 0.472
P: 0.766 0.237 0.028
P: 0.780 0.811 0.815
P: 0.811 0.780 0.315
W: 0.446 0.554 0.250
W: 0.554 0.446 0.750
O: 0.001 0.764 0.470
O: 0.021 0.750 0.841
O: 0.140 0.334 0.827
O: 0.236 0.999 0.030
O: 0.245 0.711 0.103
O: 0.250 0.979 0.659
O: 0.268 0.354 0.161
O: 0.289 0.755 0.397
O: 0.334 0.140 0.327
O: 0.353 0.601 0.599
O: 0.354 0.268 0.661
O: 0.399 0.647 0.901
O: 0.601 0.353 0.099
O: 0.646 0.732 0.339
O: 0.647 0.399 0.401
O: 0.666 0.860 0.673
O: 0.711 0.245 0.603
O: 0.732 0.646 0.839
O: 0.750 0.021 0.341
O: 0.755 0.289 0.897
O: 0.764 0.001 0.970
O: 0.860 0.666 0.173
O: 0.979 0.250 0.159
O: 0.999 0.236 0.530

=====

An optimized crystal structure of LuMgPd2, computed with meta-GGA r2SCAN.

Properties
Calculated density ... 9.49 g/cm³
Space group ... Fm-3m
Uncorrected energy ... -22.907 eV/atom
Total magnetic moment ... 0.0 μB per formula unit

a = 4.672 Å, b = 4.672 Å, c = 4.672 Å
α = 60.00°, β = 60.00°, γ = 60.00°
Element x y z (fractional)
Lu: 0.000 0.000 0.000
Mg: 0.500 0.500 0.500
Pd: 0.250 0.250 0.250
Pd: 0.750 0.750 0.750

=====

An optimized crystal structure of Ba3Cd2As4, computed with meta-GGA r2SCAN.

Properties
Calculated density ... 5.70 g/cm³
Space group ... C2/m
Uncorrected energy ... -20.836 eV/atom
Total magnetic moment ... 0.0 μB per formula unit

a = 8.932 Å, b = 8.932 Å, c = 7.377 Å
α = 111.41°, β = 111.41°, γ = 30.07°
Element x y z (fractional)
Ba: 0.000 0.000 0.000
Ba: 0.142 0.142 0.578
Ba: 0.858 0.858 0.422
Cd: 0.330 0.330 0.028
Cd: 0.670 0.670 0.972
As: 0.207 0.207 0.190
As: 0.494 0.494 0.326
As: 0.506 0.506 0.674
As: 0.793 0.793 0.810

=====

An optimized crystal structure of Np3As4, computed with meta-GGA r2SCAN.

Properties
Calculated density ... 10.60 g/cm³
Space group ... I-43d
Uncorrected energy ... -45.137 eV/atom
Total magnetic moment ... 9.0 μB per formula unit

a = 7.437 Å, b = 7.437 Å, c = 7.437 Å
α = 109.47°, β = 109.47°, γ = 109.47°
Element x y z (fractional)
Np: 0.125 0.750 0.875
Np: 0.250 0.625 0.375
Np: 0.375 0.250 0.625
Np: 0.625 0.375 0.250
Np: 0.750 0.875 0.125
Np: 0.875 0.125 0.750
As: 0.000 0.343 0.500
As: 0.000 0.843 0.500
As: 0.157 0.157 0.157
As: 0.343 0.500 0.000
As: 0.500 0.000 0.343
As: 0.500 0.000 0.843
As: 0.657 0.657 0.657
As: 0.843 0.500 0.000

=====

| no. | formation energy from the elements (eV per atom) |
| --- | --- |
| 1 | -2.17 |
| 2 | -0.86 |
| 3 | -1.00 |
| 4 | -1.15 |